(1)
Material: CsSnPS4
Method: DFT, PBE
State: optimized geometry

The total magnetization comes out at 0.0 μB per formula unit. As for the calculated formation energy: -0.9195 eV/atom. Its space-group type is No. 62.

a b c (Å): 6.325 6.922 18.458
angles (deg): 90.00 90.00 90.00
Atoms (fractional coordinates):
Cs1 0.073 0.250 0.201
Cs2 0.927 0.750 0.799
Cs3 0.573 0.750 0.299
Cs4 0.427 0.250 0.701
S1 0.437 0.750 0.651
S2 0.063 0.750 0.151
S3 0.394 0.491 0.882
S4 0.351 0.250 0.515
S5 0.894 0.991 0.618
S6 0.394 0.009 0.882
S7 0.606 0.991 0.118
S8 0.851 0.750 0.985
S9 0.649 0.750 0.485
S10 0.563 0.250 0.349
S11 0.606 0.509 0.118
S12 0.106 0.009 0.382
S13 0.149 0.250 0.015
S14 0.894 0.509 0.618
S15 0.937 0.250 0.849
S16 0.106 0.491 0.382
Sn1 0.284 0.750 0.021
Sn2 0.216 0.750 0.521
Sn3 0.784 0.250 0.479
Sn4 0.716 0.250 0.979
P1 0.281 0.250 0.405
P2 0.719 0.750 0.595
P3 0.219 0.250 0.905
P4 0.781 0.750 0.095

---

(2)
Material: Tb3TlF10
Method: DFT, PBE
State: optimized geometry

As for the calculated formation energy: -4.1350 eV/atom. Its space-group type is No. 186.

a b c (Å): 8.340 8.340 13.600
angles (deg): 90.00 90.00 120.00
Atoms (fractional coordinates):
Tb1 0.494 0.506 0.485
Tb2 0.174 0.348 0.727
Tb3 0.826 0.652 0.227
Tb4 0.826 0.174 0.227
Tb5 0.494 0.988 0.485
Tb6 0.012 0.506 0.485
Tb7 0.506 0.494 0.985
Tb8 0.506 0.012 0.985
Tb9 0.348 0.174 0.227
Tb10 0.174 0.826 0.727
Tb11 0.652 0.826 0.727
Tb12 0.988 0.494 0.985
F1 0.997 0.660 0.354
F2 0.956 0.478 0.160
F3 0.333 0.667 0.441
F4 0.891 0.782 0.691
F5 0.109 0.218 0.191
F6 0.186 0.814 0.549
F7 0.337 0.997 0.854
F8 0.109 0.891 0.191
F9 0.340 0.337 0.354
F10 0.044 0.522 0.660
F11 0.554 0.777 0.020
F12 0.371 0.186 0.049
F13 0.777 0.223 0.520
F14 0.186 0.371 0.549
F15 0.522 0.478 0.160
F16 0.223 0.446 0.020
F17 0.340 0.003 0.354
F18 0.777 0.554 0.520
F19 0.663 0.660 0.354
F20 0.663 0.003 0.354
F21 0.667 0.333 0.941
F22 0.660 0.997 0.854
F23 0.218 0.109 0.691
F24 0.333 0.667 0.775
F25 0.660 0.663 0.854
F26 0.814 0.186 0.049
F27 0.891 0.109 0.691
F28 0.667 0.333 0.275
F29 0.629 0.814 0.549
F30 0.522 0.044 0.160
F31 0.446 0.223 0.520
F32 0.782 0.891 0.191
F33 0.478 0.522 0.660
F34 0.997 0.337 0.354
F35 0.814 0.629 0.049
F36 0.478 0.956 0.660
F37 0.003 0.340 0.854
F38 0.223 0.777 0.020
F39 0.003 0.663 0.854
F40 0.337 0.340 0.854
Tl1 0.333 0.667 0.231
Tl2 0.667 0.333 0.731
Tl3 0.000 0.000 0.994
Tl4 0.000 0.000 0.494

---

(3)
Material: UCuPO
Method: DFT, PBE
State: optimized geometry

The total magnetization comes out at 0.1 μB per formula unit. As for the calculated formation energy: -1.7129 eV/atom. Its space-group type is No. 129.

a b c (Å): 3.752 3.752 8.280
angles (deg): 90.00 90.00 90.00
Atoms (fractional coordinates):
P1 0.000 0.500 0.823
P2 0.500 0.000 0.177
O1 0.500 0.500 0.500
O2 0.000 0.000 0.500
U1 0.500 0.000 0.663
U2 0.000 0.500 0.337
Cu1 0.000 0.000 0.000
Cu2 0.500 0.500 0.000

---

(4)
Material: MgB9N
Method: DFT, PBE
State: optimized geometry

As for the calculated formation energy: -0.4230 eV/atom. Its space-group type is No. 166.

a b c (Å): 7.398 7.398 7.398
angles (deg): 43.60 43.60 43.60
Atoms (fractional coordinates):
B1 0.339 0.339 0.870
B2 0.142 0.142 0.824
B3 0.130 0.661 0.661
B4 0.352 0.675 0.675
B5 0.648 0.325 0.325
B6 0.142 0.824 0.142
B7 0.675 0.352 0.675
B8 0.858 0.176 0.858
B9 0.176 0.858 0.858
B10 0.325 0.325 0.648
B11 0.325 0.648 0.325
B12 0.661 0.130 0.661
B13 0.858 0.858 0.176
B14 0.661 0.661 0.130
B15 0.339 0.870 0.339
B16 0.824 0.142 0.142
B17 0.870 0.339 0.339
B18 0.675 0.675 0.352
Mg1 0.696 0.696 0.696
Mg2 0.304 0.304 0.304
N1 0.801 0.801 0.801
N2 0.199 0.199 0.199

---

(5)
Material: KRb2ScF6
Method: DFT, PBE
State: optimized geometry

The total magnetization comes out at 0.0 μB per formula unit. As for the calculated formation energy: -3.5590 eV/atom. Its space-group type is No. 225.

a b c (Å): 6.505 6.505 6.505
angles (deg): 60.00 60.00 60.00
Atoms (fractional coordinates):
F1 0.221 0.221 0.779
F2 0.779 0.779 0.221
F3 0.779 0.221 0.221
F4 0.779 0.221 0.779
F5 0.221 0.779 0.221
F6 0.221 0.779 0.779
K1 0.500 0.500 0.500
Rb1 0.250 0.250 0.250
Rb2 0.750 0.750 0.750
Sc1 0.000 0.000 0.000

---

(6)
Material: NaNdPCO7
Method: DFT, PBE
State: optimized geometry

The total magnetization comes out at 1.0 μB per formula unit. The value obtained for the largest piezoelectric modulus is 1.1 C/m². As for the calculated formation energy: -2.6011 eV/atom. Its space-group type is No. 4.

a b c (Å): 7.163 5.298 9.743
angles (deg): 89.50 90.00 90.00
Atoms (fractional coordinates):
O1 0.789 0.949 0.119
O2 0.249 0.790 0.572
O3 0.905 0.212 0.664
O4 0.303 0.460 0.843
O5 0.803 0.540 0.157
O6 0.405 0.788 0.336
O7 0.739 0.688 0.946
O8 0.749 0.210 0.428
O9 0.289 0.051 0.881
O10 0.554 0.153 0.644
O11 0.199 0.424 0.416
O12 0.239 0.312 0.054
O13 0.054 0.847 0.356
O14 0.699 0.576 0.584
Nd1 0.221 0.220 0.627
Nd2 0.721 0.780 0.373
P1 0.728 0.284 0.584
P2 0.228 0.716 0.416
C1 0.779 0.724 0.071
C2 0.279 0.276 0.929
Na1 0.036 0.229 0.231
Na2 0.536 0.771 0.769

---

(7)
Material: UNb2O7
Method: DFT, PBE
State: optimized geometry

The total magnetization comes out at 2.0 μB per formula unit. As for the calculated formation energy: -3.2368 eV/atom. Its space-group type is No. 63.

a b c (Å): 10.818 10.818 6.543
angles (deg): 90.00 90.00 159.67
Atoms (fractional coordinates):
O1 0.347 0.653 0.556
O2 0.863 0.137 0.250
O3 0.948 0.052 0.566
O4 0.751 0.249 0.750
O5 0.249 0.751 0.250
O6 0.052 0.948 0.066
O7 0.052 0.948 0.434
O8 0.451 0.549 0.250
O9 0.948 0.052 0.934
O10 0.347 0.653 0.944
O11 0.137 0.863 0.750
O12 0.549 0.451 0.750
O13 0.653 0.347 0.056
O14 0.653 0.347 0.444
Nb1 0.976 0.024 0.250
Nb2 0.664 0.336 0.750
Nb3 0.336 0.664 0.250
Nb4 0.024 0.976 0.750
U1 0.856 0.144 0.750
U2 0.144 0.856 0.250

---

(8)
Material: Rb2PH4Se3O2
Method: DFT, PBE
State: optimized geometry

The total magnetization comes out at 0.0 μB per formula unit. As for the calculated formation energy: -1.0213 eV/atom. Its space-group type is No. 58.

a b c (Å): 7.703 9.970 12.683
angles (deg): 90.00 90.00 90.00
Atoms (fractional coordinates):
O1 0.755 0.564 0.330
O2 0.755 0.436 0.670
O3 0.255 0.936 0.830
O4 0.745 0.936 0.830
O5 0.255 0.064 0.170
O6 0.245 0.564 0.330
O7 0.745 0.064 0.170
O8 0.245 0.436 0.670
H1 0.821 0.531 0.269
H2 0.679 0.031 0.231
H3 0.703 0.650 0.308
H4 0.797 0.850 0.808
H5 0.297 0.650 0.308
H6 0.179 0.531 0.269
H7 0.321 0.969 0.769
H8 0.203 0.850 0.808
H9 0.203 0.150 0.192
H10 0.679 0.969 0.769
H11 0.821 0.469 0.731
H12 0.321 0.031 0.231
H13 0.179 0.469 0.731
H14 0.703 0.350 0.692
H15 0.297 0.350 0.692
H16 0.797 0.150 0.192
Se1 0.762 0.311 0.932
Se2 0.500 0.152 0.683
Se3 0.762 0.689 0.068
Se4 0.738 0.811 0.568
Se5 0.238 0.311 0.932
Se6 0.262 0.189 0.432
Se7 0.738 0.189 0.432
Se8 0.262 0.811 0.568
Se9 0.500 0.848 0.317
Se10 0.000 0.652 0.817
Se11 0.000 0.348 0.183
Se12 0.238 0.689 0.068
Rb1 0.500 0.604 0.842
Rb2 0.000 0.104 0.658
Rb3 0.000 0.000 0.000
Rb4 0.500 0.396 0.158
Rb5 0.000 0.500 0.500
Rb6 0.500 0.500 0.500
Rb7 0.000 0.896 0.342
Rb8 0.500 0.000 0.000
P1 0.000 0.384 0.008
P2 0.500 0.116 0.508
P3 0.000 0.616 0.992
P4 0.500 0.884 0.492

---

(9)
Material: Rb2ScInCl6
Method: DFT, PBE
State: optimized geometry

As for the calculated formation energy: -2.1692 eV/atom. Its space-group type is No. 225.

a b c (Å): 7.818 7.818 7.818
angles (deg): 60.00 60.00 60.00
Atoms (fractional coordinates):
Cl1 0.774 0.226 0.774
Cl2 0.774 0.226 0.226
Cl3 0.774 0.774 0.226
Cl4 0.226 0.774 0.774
Cl5 0.226 0.774 0.226
Cl6 0.226 0.226 0.774
Sc1 0.000 0.000 0.000
Rb1 0.750 0.750 0.750
Rb2 0.250 0.250 0.250
In1 0.500 0.500 0.500

---

(10)
Material: Te2MoWS2
Method: DFT, PBE
State: optimized geometry

The total magnetization comes out at 0.0 μB per formula unit. As for the calculated formation energy: -0.5972 eV/atom. Its space-group type is No. 156. As for the energy above the most stable polymorph in this dataset: 36 meV per atom.

a b c (Å): 3.358 3.358 38.323
angles (deg): 90.00 90.00 120.00
Atoms (fractional coordinates):
S1 0.000 0.000 0.321
S2 0.000 0.000 0.242
S3 0.333 0.667 0.430
S4 0.333 0.667 0.509
W1 0.333 0.667 0.282
W2 0.333 0.667 0.658
Mo1 0.000 0.000 0.094
Mo2 0.000 0.000 0.470
Te1 0.333 0.667 0.143
Te2 0.000 0.000 0.608
Te3 0.333 0.667 0.045
Te4 0.000 0.000 0.707

---

(11)
Material: Ba2ScSbO6
Method: DFT, PBE
State: optimized geometry

The total magnetization comes out at 0.1 μB per formula unit. As for the calculated formation energy: -0.7827 eV/atom. Its space-group type is No. 225.

a b c (Å): 6.672 6.672 6.672
angles (deg): 60.00 60.00 60.00
Atoms (fractional coordinates):
O1 0.000 0.500 0.500
O2 0.500 0.000 0.000
O3 0.000 0.000 0.500
O4 0.500 0.000 0.500
O5 0.000 0.500 0.000
O6 0.500 0.500 0.000
Sc1 0.000 0.000 0.000
Ba1 0.750 0.750 0.750
Ba2 0.250 0.250 0.250
Sb1 0.500 0.500 0.500

---

(12)
Material: Bi2TeO6
Method: DFT, PBE
State: optimized geometry

As for the calculated formation energy: -1.6169 eV/atom. Its space-group type is No. 64.

a b c (Å): 8.850 8.850 5.458
angles (deg): 90.00 90.00 144.11
Atoms (fractional coordinates):
Bi1 0.673 0.327 0.989
Bi2 0.827 0.173 0.489
Bi3 0.173 0.827 0.511
Bi4 0.327 0.673 0.011
O1 0.500 0.000 0.250
O2 0.109 0.891 0.915
O3 0.718 0.782 0.750
O4 0.609 0.391 0.585
O5 0.000 0.500 0.250
O6 0.782 0.718 0.250
O7 0.282 0.218 0.250
O8 0.391 0.609 0.415
O9 0.218 0.282 0.750
O10 0.000 0.500 0.750
O11 0.891 0.109 0.085
O12 0.500 0.000 0.750
Te1 0.500 0.500 0.500
Te2 0.000 0.000 0.000